# HoEr, relaxed, DFT r2SCAN
data_HoEr
_cell_length_a 3.563
_cell_length_b 3.563
_cell_length_c 5.721
_cell_angle_alpha 90.00
_cell_angle_beta 90.00
_cell_angle_gamma 120.00
_space_group_name_H-M_alt 'P 1'
_space_group_IT_number 1
_space_group_name_Hall 'P 1'
loop_
_atom_site_label
_atom_site_type_symbol
_atom_site_fract_x
_atom_site_fract_y
_atom_site_fract_z
Ho1 Ho 0.000 0.000 0.000
Er1 Er 0.333 0.667 0.500
# Electronic total energy: -66.8 eV per cell
# Calculated formation energy: -0.02 eV per formula unit
# Magnetic moment: 1.2 μB per cell
# Symmetry: P-6m2 (187)


# HoErIn2, relaxed, DFT r2SCAN
data_HoErIn2
_cell_length_a 5.254
_cell_length_b 5.254
_cell_length_c 5.254
_cell_angle_alpha 60.00
_cell_angle_beta 60.00
_cell_angle_gamma 60.00
_space_group_name_H-M_alt 'P 1'
_space_group_IT_number 1
_space_group_name_Hall 'P 1'
loop_
_atom_site_label
_atom_site_type_symbol
_atom_site_fract_x
_atom_site_fract_y
_atom_site_fract_z
Ho1 Ho 0.000 0.000 0.000
Er1 Er 0.500 0.500 0.500
In1 In 0.250 0.250 0.250
In2 In 0.750 0.750 0.750
# Electronic total energy: -114.2 eV per cell
# Calculated formation energy: -2.26 eV per formula unit
# Magnetic moment: 0.0 μB per cell
# Symmetry: Fm-3m (225)